Entry from Materials Project: Li2CoP4O12 after structural relaxation (PBE with a Hubbard U).

Calculated values
The calculation puts the energy relative to the elements at -2.5083 eV per atom. The calculation puts the energy above the most stable polymorph in this dataset at 3.4 kJ per mole of atoms. As for the energy: -259.46 eV/cell. Its space group is P2_1/c (14). For the size of the total moment, the calculation gives 3.00 μB/f.u.

Structure (POSCAR):
```
Li2CoP4O12
1.0
-8.9190 -2.5715 0.3449
1.4905 -4.3655 5.9973
-0.5080 2.8532 8.1360
O Li P Co
24 4 8 2
Direct
0.3269 0.8987 0.4137
0.3968 0.9312 0.7378
0.6731 0.1013 0.5863
0.3932 0.3078 0.3908
0.7289 0.3640 0.6844
0.9553 0.6479 0.7656
0.7711 0.3640 0.1844
0.1314 0.6081 0.5618
0.4553 0.3521 0.7344
0.5447 0.6479 0.2656
0.2711 0.6360 0.3156
0.3686 0.6081 0.0618
0.2289 0.6360 0.8156
0.6032 0.0688 0.2622
0.8932 0.6922 0.1092
0.0447 0.3521 0.2344
0.1032 0.9312 0.2378
0.1731 0.8987 0.9137
0.8269 0.1013 0.0863
0.1068 0.3078 0.8908
0.6314 0.3919 0.9382
0.8686 0.3919 0.4382
0.8968 0.0688 0.7622
0.6068 0.6922 0.6092
0.6608 0.7815 0.3466
0.1608 0.2185 0.1534
0.8392 0.7815 0.8466
0.3392 0.2185 0.6534
0.2134 0.7857 0.3785
0.0912 0.5443 0.7678
0.2866 0.7857 0.8785
0.7134 0.2143 0.1215
0.4088 0.5443 0.2678
0.9088 0.4557 0.2322
0.7866 0.2143 0.6215
0.5912 0.4557 0.7322
0.5000 0.0000 0.5000
0.0000 0.0000 0.0000
```